# Na10Ca4Zr4Si5S7O48

Na10Ca4Zr4Si5S7O48 after structural relaxation (GGA-PBE, the Materials Project).

Properties
The total magnetization comes out at 0.0 μB per cell. For the calculated density, the calculation gives 2690 kg/m3. The calculation puts the formation energy from the elements at -209.15 eV/f.u.

abc: 9.3222 16.1012 23.2961
angles: 90.56 90.13 90.03
Space group P1 (No. 1)
Inequivalent atoms, fractional coordinates:
1 Na 0.0000 0.0000 0.0000 x1
2 Na 0.0027 0.3367 0.3324 x1
3 Na 0.1196 0.8290 0.5886 x1
4 Na 0.1276 0.1532 0.9189 x1
5 Na 0.1368 0.4990 0.2562 x1
6 Na 0.1404 0.4942 0.7572 x1
7 Na 0.1543 0.1463 0.4212 x1
8 Na 0.1745 0.8196 0.0937 x1
9 Na 0.2664 0.9995 0.4988 x1
10 Na 0.2743 0.3376 0.8323 x1
11 Na 0.3006 0.6766 0.5137 x1
12 Na 0.3426 0.3288 0.5157 x1
13 Na 0.4404 0.4862 0.6690 x1
14 Na 0.5018 0.8369 0.3315 x1
15 Na 0.5107 0.5008 0.9984 x1
16 Na 0.6152 0.6506 0.9224 x1
17 Na 0.6159 0.9862 0.2562 x1
18 Na 0.6194 0.3285 0.5899 x1
19 Na 0.6348 0.9953 0.7538 x1
20 Na 0.6428 0.3305 0.0829 x1
21 Na 0.6538 0.6492 0.4194 x1
22 Na 0.7663 0.4998 0.4988 x1
23 Na 0.7750 0.8351 0.8314 x1
24 Na 0.7758 0.1673 0.1664 x1
25 Na 0.8001 0.1754 0.5147 x1
26 Na 0.8361 0.4898 0.1663 x1
27 Na 0.8428 0.8288 0.5142 x1
28 Na 0.9373 0.3336 0.0128 x1
29 Na 0.9403 0.9864 0.6679 x1
30 Na 0.9741 0.6757 0.0157 x1
31 Ca 0.1330 0.8404 0.4411 x1
32 Ca 0.1348 0.1682 0.7790 x1
33 Ca 0.1374 0.5017 0.6129 x1
34 Ca 0.1390 0.5026 0.1128 x1
35 Ca 0.1477 0.1648 0.2792 x1
36 Ca 0.1503 0.8371 0.9434 x1
37 Ca 0.6303 0.9983 0.1127 x1
38 Ca 0.6331 0.3403 0.4418 x1
39 Ca 0.6342 0.6670 0.7797 x1
40 Ca 0.6373 0.0017 0.6124 x1
41 Ca 0.6414 0.3367 0.9440 x1
42 Ca 0.6423 0.6689 0.2785 x1
43 Zr 0.1250 0.8375 0.7433 x1
44 Zr 0.1307 0.1731 0.0785 x1
45 Zr 0.1361 0.5131 0.4100 x1
46 Zr 0.1405 0.5119 0.9107 x1
47 Zr 0.1502 0.1709 0.5770 x1
48 Zr 0.1551 0.8408 0.2422 x1
49 Zr 0.6239 0.3373 0.7438 x1
50 Zr 0.6236 0.6747 0.0749 x1
51 Zr 0.6365 0.0118 0.4099 x1
52 Zr 0.6470 0.3418 0.2441 x1
53 Zr 0.6502 0.0095 0.9089 x1
54 Zr 0.6499 0.6710 0.5771 x1
55 Si 0.2849 0.6530 0.0140 x1
56 Si 0.2876 0.3197 0.6835 x1
57 Si 0.2984 0.9865 0.3497 x1
58 Si 0.4354 0.5056 0.5150 x1
59 Si 0.4786 0.4863 0.8491 x1
60 Si 0.4892 0.1517 0.5134 x1
61 Si 0.4898 0.8193 0.1840 x1
62 Si 0.7868 0.8197 0.6837 x1
63 Si 0.7920 0.1513 0.0177 x1
64 Si 0.7992 0.4880 0.3488 x1
65 Si 0.8398 0.5059 0.0149 x1
66 Si 0.9358 0.0053 0.5149 x1
67 Si 0.9870 0.3192 0.1848 x1
68 Si 0.9871 0.9861 0.8496 x1
69 Si 0.9891 0.6521 0.5137 x1
70 S 0.2791 0.3517 0.0105 x1
71 S 0.2802 0.0184 0.6781 x1
72 S 0.2817 0.6873 0.3449 x1
73 S 0.3391 0.3398 0.3447 x1
74 S 0.3422 0.0079 0.0106 x1
75 S 0.3425 0.6747 0.6768 x1
76 S 0.4360 0.1738 0.1775 x1
77 S 0.4373 0.8409 0.8438 x1
78 S 0.4960 0.1862 0.8447 x1
79 S 0.4963 0.8519 0.5099 x1
80 S 0.4968 0.5193 0.1775 x1
81 S 0.7802 0.5183 0.6779 x1
82 S 0.7813 0.8540 0.0090 x1
83 S 0.7816 0.1871 0.3438 x1
84 S 0.8387 0.8398 0.3450 x1
85 S 0.8425 0.1742 0.6768 x1
86 S 0.9345 0.6747 0.1767 x1
87 S 0.9361 0.3394 0.8451 x1
88 S 0.9960 0.6876 0.8449 x1
89 S 0.9966 0.0196 0.1766 x1
90 S 0.9967 0.3520 0.5096 x1
91 O 0.0162 0.5903 0.4551 x1
92 O 0.0167 0.4040 0.5602 x1
93 O 0.0229 0.7519 0.1833 x1
94 O 0.0238 0.4180 0.8463 x1
95 O 0.0249 0.7338 0.8981 x1
96 O 0.0260 0.2563 0.1259 x1
97 O 0.0257 0.9202 0.7930 x1
98 O 0.0270 0.0709 0.2268 x1
99 O 0.0276 0.0955 0.5194 x1
100 O 0.0278 0.6006 0.1733 x1
101 O 0.0343 0.9436 0.9085 x1
102 O 0.0365 0.2728 0.2413 x1
103 O 0.0381 0.2690 0.8403 x1
104 O 0.0403 0.4137 0.1802 x1
105 O 0.0476 0.0778 0.8416 x1
106 O 0.0477 0.9285 0.5075 x1
107 O 0.0529 0.7450 0.5063 x1
108 O 0.0590 0.6080 0.5672 x1
109 O 0.0612 0.3914 0.4574 x1
110 O 0.0622 0.0601 0.1237 x1
111 O 0.0616 0.7322 0.7945 x1
112 O 0.0631 0.9351 0.1813 x1
113 O 0.0636 0.6032 0.8463 x1
114 O 0.0732 0.2694 0.5158 x1
115 O 0.2014 0.9357 0.6815 x1
116 O 0.2029 0.2682 0.0168 x1
117 O 0.2087 0.7425 0.0076 x1
118 O 0.2118 0.3902 0.9583 x1
119 O 0.2132 0.6024 0.3460 x1
120 O 0.2151 0.0596 0.6253 x1
121 O 0.2164 0.7321 0.2950 x1
122 O 0.2203 0.6071 0.0679 x1
123 O 0.2325 0.0775 0.3420 x1
124 O 0.2326 0.4146 0.6799 x1
125 O 0.2381 0.2697 0.3387 x1
126 O 0.2405 0.2764 0.7417 x1
127 O 0.2396 0.9377 0.0059 x1
128 O 0.2457 0.2601 0.6248 x1
129 O 0.2482 0.0680 0.7290 x1
130 O 0.2495 0.6011 0.6728 x1
131 O 0.2504 0.9455 0.4090 x1
132 O 0.2510 0.9194 0.2945 x1
133 O 0.2525 0.0865 0.0143 x1
134 O 0.2529 0.4186 0.3460 x1
135 O 0.2528 0.7315 0.3990 x1
136 O 0.2540 0.4024 0.0615 x1
137 O 0.2544 0.7522 0.6832 x1
138 O 0.2575 0.5908 0.9552 x1
139 O 0.2960 0.4828 0.8479 x1
140 O 0.3046 0.8226 0.1838 x1
141 O 0.3078 0.1566 0.5177 x1
142 O 0.3176 0.5178 0.4598 x1
143 O 0.3395 0.1798 0.1255 x1
144 O 0.3397 0.1779 0.8383 x1
145 O 0.3417 0.8339 0.5029 x1
146 O 0.3416 0.8471 0.7922 x1
147 O 0.3441 0.5035 0.1718 x1
148 O 0.3474 0.4864 0.5725 x1
149 O 0.3507 0.1634 0.2290 x1
150 O 0.3537 0.8298 0.8957 x1
151 O 0.4181 0.3295 0.3986 x1
152 O 0.4270 0.9976 0.0623 x1
153 O 0.4313 0.6834 0.6228 x1
154 O 0.4329 0.0043 0.6721 x1
155 O 0.4336 0.3379 0.0038 x1
156 O 0.4363 0.0139 0.9586 x1
157 O 0.4375 0.6632 0.7261 x1
158 O 0.4381 0.6792 0.3388 x1
159 O 0.4415 0.3442 0.2948 x1
160 O 0.4663 0.6554 0.0170 x1
161 O 0.4731 0.3254 0.6831 x1
162 O 0.4804 0.9829 0.3479 x1
163 O 0.5162 0.9038 0.5606 x1
164 O 0.5173 0.0899 0.4551 x1
165 O 0.5235 0.2529 0.1810 x1
166 O 0.5244 0.4200 0.7921 x1
167 O 0.5252 0.9201 0.8479 x1
168 O 0.5259 0.2342 0.8964 x1
169 O 0.5270 0.5957 0.5195 x1
170 O 0.5283 0.5683 0.2287 x1
171 O 0.5292 0.4422 0.9069 x1
172 O 0.5335 0.7556 0.1280 x1
173 O 0.5356 0.7792 0.2438 x1
174 O 0.5380 0.1043 0.1721 x1
175 O 0.5403 0.7713 0.8389 x1
176 O 0.5438 0.5776 0.8414 x1
177 O 0.5479 0.4290 0.5072 x1
178 O 0.5501 0.9117 0.1765 x1
179 O 0.5528 0.2448 0.5061 x1
180 O 0.5590 0.1084 0.5673 x1
181 O 0.5612 0.8916 0.4579 x1
182 O 0.5616 0.2273 0.7930 x1
183 O 0.5622 0.5589 0.1249 x1
184 O 0.5632 0.1009 0.8485 x1
185 O 0.5731 0.7695 0.5160 x1
186 O 0.5757 0.4357 0.1818 x1
187 O 0.7016 0.4355 0.6814 x1
188 O 0.7135 0.1027 0.3456 x1
189 O 0.7146 0.5596 0.6250 x1
190 O 0.7150 0.7693 0.0144 x1
191 O 0.7168 0.2307 0.2925 x1
192 O 0.7173 0.8934 0.9561 x1
193 O 0.7272 0.4292 0.0072 x1
194 O 0.7323 0.9148 0.6800 x1
195 O 0.7331 0.5786 0.3408 x1
196 O 0.7372 0.7693 0.3402 x1
197 O 0.7397 0.1100 0.0758 x1
198 O 0.7395 0.7764 0.7418 x1
199 O 0.7430 0.2459 0.0087 x1
200 O 0.7452 0.7601 0.6251 x1
201 O 0.7481 0.5683 0.7287 x1
202 O 0.7492 0.1006 0.6729 x1
203 O 0.7492 0.4442 0.4068 x1
204 O 0.7491 0.5959 0.0190 x1
205 O 0.7500 0.9183 0.3470 x1
206 O 0.7511 0.2338 0.3966 x1
207 O 0.7522 0.0856 0.9613 x1
208 O 0.7516 0.4219 0.2918 x1
209 O 0.7551 0.2519 0.6827 x1
210 O 0.7547 0.9062 0.0590 x1
211 O 0.8015 0.3187 0.1842 x1
212 O 0.8019 0.9844 0.8504 x1
213 O 0.8077 0.6568 0.5180 x1
214 O 0.8180 0.0179 0.4599 x1
215 O 0.8362 0.3430 0.7946 x1
216 O 0.8404 0.0125 0.1700 x1
217 O 0.8395 0.6628 0.2257 x1
218 O 0.8397 0.6807 0.8382 x1
219 O 0.8419 0.3340 0.5026 x1
220 O 0.8467 0.6826 0.1224 x1
221 O 0.8478 0.9870 0.5726 x1
222 O 0.8564 0.3300 0.8987 x1
223 O 0.9173 0.8304 0.3993 x1
224 O 0.9288 0.4862 0.0723 x1
225 O 0.9320 0.1822 0.6228 x1
226 O 0.9326 0.5045 0.6717 x1
227 O 0.9372 0.1625 0.7261 x1
228 O 0.9379 0.1800 0.3378 x1
229 O 0.9381 0.8425 0.0030 x1
230 O 0.9383 0.8445 0.2952 x1
231 O 0.9589 0.5167 0.9601 x1
232 O 0.9725 0.8261 0.6836 x1
233 O 0.9772 0.1504 0.0185 x1
234 O 0.9812 0.4831 0.3474 x1